A geometry-optimized UGe2Pt2 structure, computed with PBE.

Results
* ΔE_f: -0.5404 eV/atom
* volume: 18.808 Å³/atom

Lattice parameters (Å, degrees): 4.2996 4.2996 10.1742 90.00 90.00 90.00
With the nearest neighbours (Å) after each atom.
Fractional positions:
U 0.0000 0.5000 0.2501  8 Ge 3.26-3.33, 8 Pt 3.28-3.33
U 0.5000 0.0000 0.7499  8 Ge 3.26-3.33, 8 Pt 3.28-3.33
Ge 0.0000 0.0000 0.5000  4 Pt 2.51
Ge 0.5000 0.5000 0.5000  4 Pt 2.51
Ge 0.0000 0.5000 0.8652  5 Pt 2.41-2.55
Ge 0.5000 0.0000 0.1348  5 Pt 2.41-2.55
Pt 0.0000 0.0000 0.0000  4 Ge 2.55
Pt 0.5000 0.5000 0.0000  4 Ge 2.55
Pt 0.0000 0.5000 0.6280  5 Ge 2.41-2.51
Pt 0.5000 0.0000 0.3720  5 Ge 2.41-2.51